(1)
# VZnBiO5 (GGA+U, relaxed)
data_VZnBiO5
_cell_length_a 5.382
_cell_length_b 11.791
_cell_length_c 8.020
_cell_angle_alpha 90.00
_cell_angle_beta 112.55
_cell_angle_gamma 90.00
_symmetry_space_group_name_H-M 'P 1 21/c 1'
_symmetry_Int_Tables_number 14
_symmetry_space_group_name_Hall '-P 2ybc'
loop_
_atom_site_label
_atom_site_type_symbol
_atom_site_fract_x
_atom_site_fract_y
_atom_site_fract_z
V1 V 0.181 0.148 0.468
Zn1 Zn 0.452 0.581 0.327
Bi1 Bi 0.057 0.596 0.677
O1 O 0.158 0.675 0.142
O2 O 0.238 0.074 0.668
O3 O 0.242 0.526 0.486
O4 O 0.294 0.067 0.326
O5 O 0.317 0.215 0.012
# ΔE_f   -16.3 eV/f.u.
# Energy above the most stable polymorph in this dataset   0.00 eV/f.u.

=====

(2)
# VZn2BiO6 (GGA+U, relaxed)
data_VZn2BiO6
_cell_length_a 5.799
_cell_length_b 6.937
_cell_length_c 7.032
_cell_angle_alpha 80.78
_cell_angle_beta 79.05
_cell_angle_gamma 80.81
_symmetry_space_group_name_H-M 'P -1'
_symmetry_Int_Tables_number 2
_symmetry_space_group_name_Hall '-P 1'
loop_
_atom_site_label
_atom_site_type_symbol
_atom_site_fract_x
_atom_site_fract_y
_atom_site_fract_z
V1 V 0.226 0.304 0.114
Zn1 Zn 0.274 0.409 0.592
Zn2 Zn 0.281 0.888 0.673
Bi1 Bi 0.218 0.798 0.215
O1 O 0.012 0.817 0.897
O2 O 0.135 0.160 0.620
O3 O 0.138 0.486 0.279
O4 O 0.337 0.406 0.883
O5 O 0.359 0.691 0.493
O6 O 0.445 0.118 0.191
# ΔE_f   -19.9 eV/f.u.

=====

(3)
# BiWO2 (GGA+U, relaxed)
data_BiWO2
_cell_length_a 6.476
_cell_length_b 6.476
_cell_length_c 12.754
_cell_angle_alpha 90.00
_cell_angle_beta 90.00
_cell_angle_gamma 90.00
_symmetry_space_group_name_H-M 'I 41/a m d'
_symmetry_Int_Tables_number 141
loop_
_symmetry_equiv_pos_as_xyz
'x,y,z'
'-x,-y,-z'
'-y+1/4,x+3/4,z+1/4'
'y+1/4,-x+3/4,-z+1/4'
'-x+1/2,-y,z+1/2'
'x+1/2,y,-z+1/2'
'y+1/4,-x+1/4,z+3/4'
'-y+1/4,x+1/4,-z+3/4'
'x,-y,-z'
'-x,y,z'
'-y+1/4,-x+1/4,-z+3/4'
'y+1/4,x+1/4,z+3/4'
'-x+1/2,y,-z+1/2'
'x+1/2,-y,z+1/2'
'y+1/4,x+3/4,-z+1/4'
'-y+1/4,-x+3/4,z+1/4'
'x+1/2,y+1/2,z+1/2'
'-x+1/2,-y+1/2,-z+1/2'
'-y+3/4,x+1/4,z+3/4'
'y+3/4,-x+1/4,-z+3/4'
'-x,-y+1/2,z'
'x,y+1/2,-z'
'y+3/4,-x+3/4,z+1/4'
'-y+3/4,x+3/4,-z+1/4'
'x+1/2,-y+1/2,-z+1/2'
'-x+1/2,y+1/2,z+1/2'
'-y+3/4,-x+3/4,-z+1/4'
'y+3/4,x+3/4,z+1/4'
'-x,y+1/2,-z'
'x,-y+1/2,z'
'y+3/4,x+1/4,-z+3/4'
'-y+3/4,-x+1/4,z+3/4'
loop_
_atom_site_label
_atom_site_type_symbol
_atom_site_fract_x
_atom_site_fract_y
_atom_site_fract_z
Bi1 Bi 0.000 0.000 0.000
W1 W 0.000 0.000 0.500
O1 O 0.000 0.054 0.188
# ΔE_f   -1.7 eV/f.u.

=====

Computed M_tot, in the same sequence as the records: 0.00, 0.00, 7.74 Bohr magnetons per cell.
Computed calculated total energy, in the same sequence as the records: -6.268, -5.923, -5.660 eV per atom.